Record 1
# K3SbSe4 | the Materials Project | r2SCAN | relaxed
data_K3SbSe4
_symmetry_space_group_name_H-M 'P 1'
_symmetry_Int_Tables_number 1
_symmetry_space_group_name_Hall 'P 1'
_cell_length_a 8.061
_cell_length_b 8.061
_cell_length_c 8.061
_cell_angle_alpha 92.15
_cell_angle_beta 92.15
_cell_angle_gamma 92.15
loop_
_atom_site_label
_atom_site_fract_x
_atom_site_fract_y
_atom_site_fract_z
K1 0.135 0.205 0.660
K2 0.160 0.705 0.635
K3 0.205 0.660 0.135
K4 0.635 0.160 0.705
K5 0.660 0.135 0.205
K6 0.705 0.635 0.160
Sb1 0.158 0.158 0.158
Sb2 0.658 0.658 0.658
Se1 0.000 0.960 0.332
Se2 0.332 0.000 0.960
Se3 0.344 0.344 0.344
Se4 0.460 0.500 0.832
Se5 0.500 0.832 0.460
Se6 0.832 0.460 0.500
Se7 0.844 0.844 0.844
Se8 0.960 0.332 0.000
# Energy of formation: -1.029 eV/atom
# Crystal system: trigonal
# Spin magnetization: 0.00 μB/f.u.
# Total DFT energy (no corrections): -13.65 eV per atom



Record 2
# K8SnSb4 | the Materials Project | r2SCAN | relaxed
data_K8SnSb4
_symmetry_space_group_name_H-M 'P 1'
_symmetry_Int_Tables_number 1
_symmetry_space_group_name_Hall 'P 1'
_cell_length_a 11.569
_cell_length_b 11.569
_cell_length_c 11.569
_cell_angle_alpha 60.00
_cell_angle_beta 60.00
_cell_angle_gamma 60.00
loop_
_atom_site_label
_atom_site_fract_x
_atom_site_fract_y
_atom_site_fract_z
K1 0.000 0.000 0.000
K2 0.000 0.000 0.500
K3 0.000 0.500 0.000
K4 0.147 0.147 0.603
K5 0.147 0.603 0.147
K6 0.147 0.603 0.603
K7 0.397 0.397 0.853
K8 0.397 0.853 0.397
K9 0.397 0.853 0.853
K10 0.500 0.000 0.000
K11 0.603 0.147 0.147
K12 0.603 0.147 0.603
K13 0.603 0.603 0.147
K14 0.853 0.397 0.397
K15 0.853 0.397 0.853
K16 0.853 0.853 0.397
Sn1 0.125 0.125 0.125
Sn2 0.875 0.875 0.875
Sb1 0.184 0.772 0.772
Sb2 0.228 0.228 0.228
Sb3 0.228 0.228 0.816
Sb4 0.228 0.816 0.228
Sb5 0.772 0.184 0.772
Sb6 0.772 0.772 0.184
Sb7 0.772 0.772 0.772
Sb8 0.816 0.228 0.228
# Energy of formation: -0.586 eV/atom
# Crystal system: cubic
# Spin magnetization: 0.00 μB/f.u.
# Total DFT energy (no corrections): -14.10 eV per atom



Record 3
# K3SbTe3 | the Materials Project | r2SCAN | relaxed
data_K3SbTe3
_symmetry_space_group_name_H-M 'P 1'
_symmetry_Int_Tables_number 1
_symmetry_space_group_name_Hall 'P 1'
_cell_length_a 10.471
_cell_length_b 10.471
_cell_length_c 10.471
_cell_angle_alpha 90.00
_cell_angle_beta 90.00
_cell_angle_gamma 90.00
loop_
_atom_site_label
_atom_site_fract_x
_atom_site_fract_y
_atom_site_fract_z
K1 0.080 0.080 0.080
K2 0.178 0.322 0.678
K3 0.183 0.683 0.817
K4 0.317 0.317 0.317
K5 0.322 0.678 0.178
K6 0.420 0.920 0.580
K7 0.580 0.420 0.920
K8 0.678 0.178 0.322
K9 0.683 0.817 0.183
K10 0.817 0.183 0.683
K11 0.822 0.822 0.822
K12 0.920 0.580 0.420
Sb1 0.029 0.971 0.471
Sb2 0.471 0.029 0.971
Sb3 0.529 0.529 0.529
Sb4 0.971 0.471 0.029
Te1 0.002 0.225 0.391
Te2 0.109 0.998 0.725
Te3 0.225 0.391 0.002
Te4 0.275 0.609 0.502
Te5 0.391 0.002 0.225
Te6 0.498 0.775 0.891
Te7 0.502 0.275 0.609
Te8 0.609 0.502 0.275
Te9 0.725 0.109 0.998
Te10 0.775 0.891 0.498
Te11 0.891 0.498 0.775
Te12 0.998 0.725 0.109
# Energy of formation: -0.946 eV/atom
# Crystal system: cubic
# Spin magnetization: 0.00 μB/f.u.
# Total DFT energy (no corrections): -18.09 eV per atom



Record 4
# KZnSb | the Materials Project | r2SCAN | relaxed
data_KZnSb
_symmetry_space_group_name_H-M 'P 1'
_symmetry_Int_Tables_number 1
_symmetry_space_group_name_Hall 'P 1'
_cell_length_a 4.526
_cell_length_b 4.526
_cell_length_c 10.560
_cell_angle_alpha 90.00
_cell_angle_beta 90.00
_cell_angle_gamma 120.00
loop_
_atom_site_label
_atom_site_fract_x
_atom_site_fract_y
_atom_site_fract_z
K1 0.000 0.000 0.000
K2 0.000 0.000 0.500
Zn1 0.333 0.667 0.250
Zn2 0.667 0.333 0.750
Sb1 0.333 0.667 0.750
Sb2 0.667 0.333 0.250
# Energy of formation: -0.511 eV/atom
# Crystal system: hexagonal
# Spin magnetization: 0.00 μB/f.u.
# Total DFT energy (no corrections): -14.06 eV per atom



Record 5
# KZnSb | the Materials Project | r2SCAN | relaxed
data_KZnSb
_symmetry_space_group_name_H-M 'P 1'
_symmetry_Int_Tables_number 1
_symmetry_space_group_name_Hall 'P 1'
_cell_length_a 4.517
_cell_length_b 4.517
_cell_length_c 5.362
_cell_angle_alpha 90.00
_cell_angle_beta 90.00
_cell_angle_gamma 120.00
loop_
_atom_site_label
_atom_site_fract_x
_atom_site_fract_y
_atom_site_fract_z
K1 0.000 0.000 0.000
Zn1 0.333 0.667 0.500
Sb1 0.667 0.333 0.500
# Energy of formation: -0.499 eV/atom
# Crystal system: hexagonal
# Spin magnetization: 0.00 μB/f.u.
# Total DFT energy (no corrections): -14.04 eV per atom



Record 6
# KSe3 | the Materials Project | r2SCAN | relaxed
data_KSe3
_symmetry_space_group_name_H-M 'P 1'
_symmetry_Int_Tables_number 1
_symmetry_space_group_name_Hall 'P 1'
_cell_length_a 6.430
_cell_length_b 6.430
_cell_length_c 8.467
_cell_angle_alpha 91.67
_cell_angle_beta 91.67
_cell_angle_gamma 50.51
loop_
_atom_site_label
_atom_site_fract_x
_atom_site_fract_y
_atom_site_fract_z
K1 0.100 0.100 0.218
K2 0.900 0.900 0.782
Se1 0.093 0.286 0.852
Se2 0.345 0.053 0.625
Se3 0.404 0.488 0.378
Se4 0.512 0.596 0.622
Se5 0.714 0.907 0.148
Se6 0.947 0.655 0.375
# Energy of formation: -0.530 eV/atom
# Crystal system: monoclinic
# Spin magnetization: 0.00 μB/f.u.
# Total DFT energy (no corrections): -12.77 eV per atom



Record 7
# K5Se3 | the Materials Project | r2SCAN | relaxed
data_K5Se3
_symmetry_space_group_name_H-M 'P 1'
_symmetry_Int_Tables_number 1
_symmetry_space_group_name_Hall 'P 1'
_cell_length_a 6.071
_cell_length_b 9.609
_cell_length_c 9.617
_cell_angle_alpha 84.33
_cell_angle_beta 71.64
_cell_angle_gamma 71.72
loop_
_atom_site_label
_atom_site_fract_x
_atom_site_fract_y
_atom_site_fract_z
K1 0.000 0.000 0.000
K2 0.028 0.814 0.633
K3 0.061 0.443 0.438
K4 0.192 0.622 0.007
K5 0.366 0.012 0.259
K6 0.493 0.189 0.827
K7 0.527 0.817 0.633
K8 0.555 0.633 0.266
K9 0.687 0.182 0.449
K10 0.872 0.447 0.817
Se1 0.123 0.126 0.630
Se2 0.433 0.505 0.635
Se3 0.578 0.317 0.132
Se4 0.620 0.820 0.943
Se5 0.934 0.814 0.323
Se6 0.977 0.316 0.133
# Energy of formation: -1.241 eV/atom
# Crystal system: triclinic
# Spin magnetization: 0.00 μB/f.u.
# Total DFT energy (no corrections): -10.37 eV per atom



Record 8
# KSmSe2 | the Materials Project | r2SCAN | relaxed
data_KSmSe2
_symmetry_space_group_name_H-M 'P 1'
_symmetry_Int_Tables_number 1
_symmetry_space_group_name_Hall 'P 1'
_cell_length_a 8.014
_cell_length_b 8.014
_cell_length_c 8.014
_cell_angle_alpha 31.00
_cell_angle_beta 31.00
_cell_angle_gamma 31.00
loop_
_atom_site_label
_atom_site_fract_x
_atom_site_fract_y
_atom_site_fract_z
K1 0.000 0.000 0.000
Sm1 0.500 0.500 0.500
Se1 0.237 0.237 0.237
Se2 0.763 0.763 0.763
# Energy of formation: -2.042 eV/atom
# Crystal system: trigonal
# Spin magnetization: 0.00 μB/f.u.
# Total DFT energy (no corrections): -18.14 eV per atom



Record 9
# K4SnSe4 | the Materials Project | r2SCAN | relaxed
data_K4SnSe4
_symmetry_space_group_name_H-M 'P 1'
_symmetry_Int_Tables_number 1
_symmetry_space_group_name_Hall 'P 1'
_cell_length_a 14.774
_cell_length_b 10.302
_cell_length_c 8.359
_cell_angle_alpha 90.00
_cell_angle_beta 90.00
_cell_angle_gamma 90.00
loop_
_atom_site_label
_atom_site_fract_x
_atom_site_fract_y
_atom_site_fract_z
K1 0.000 0.000 0.000
K2 0.000 0.500 0.000
K3 0.077 0.250 0.487
K4 0.228 0.549 0.343
K5 0.228 0.951 0.343
K6 0.272 0.049 0.843
K7 0.272 0.451 0.843
K8 0.423 0.750 0.987
K9 0.500 0.000 0.500
K10 0.500 0.500 0.500
K11 0.577 0.250 0.013
K12 0.728 0.549 0.157
K13 0.728 0.951 0.157
K14 0.772 0.049 0.657
K15 0.772 0.451 0.657
K16 0.923 0.750 0.513
Sn1 0.166 0.750 0.739
Sn2 0.334 0.250 0.239
Sn3 0.666 0.750 0.761
Sn4 0.834 0.250 0.261
Se1 0.085 0.549 0.644
Se2 0.085 0.951 0.644
Se3 0.174 0.250 0.122
Se4 0.174 0.750 0.043
Se5 0.326 0.250 0.543
Se6 0.326 0.750 0.622
Se7 0.415 0.049 0.144
Se8 0.415 0.451 0.144
Se9 0.585 0.549 0.856
Se10 0.585 0.951 0.856
Se11 0.674 0.250 0.378
Se12 0.674 0.750 0.457
Se13 0.826 0.250 0.957
Se14 0.826 0.750 0.878
Se15 0.915 0.049 0.356
Se16 0.915 0.451 0.356
# Energy of formation: -1.210 eV/atom
# Crystal system: orthorhombic
# Spin magnetization: 0.00 μB/f.u.
# Total DFT energy (no corrections): -12.99 eV per atom



Record 10
# K2Ta3Se6 | the Materials Project | r2SCAN | relaxed
data_K2Ta3Se6
_symmetry_space_group_name_H-M 'P 1'
_symmetry_Int_Tables_number 1
_symmetry_space_group_name_Hall 'P 1'
_cell_length_a 3.563
_cell_length_b 3.563
_cell_length_c 48.820
_cell_angle_alpha 90.00
_cell_angle_beta 90.00
_cell_angle_gamma 120.00
loop_
_atom_site_label
_atom_site_fract_x
_atom_site_fract_y
_atom_site_fract_z
K1 0.000 0.000 0.000
K2 0.000 0.000 0.333
K3 0.000 0.000 0.666
K4 0.333 0.667 0.833
Ta1 0.333 0.667 0.083
Ta2 0.333 0.667 0.250
Ta3 0.333 0.667 0.416
Ta4 0.333 0.667 0.583
Ta5 0.333 0.667 0.749
Ta6 0.333 0.667 0.917
Se1 0.667 0.333 0.049
Se2 0.667 0.333 0.116
Se3 0.667 0.333 0.217
Se4 0.667 0.333 0.284
Se5 0.667 0.333 0.383
Se6 0.667 0.333 0.449
Se7 0.667 0.333 0.551
Se8 0.667 0.333 0.617
Se9 0.667 0.333 0.716
Se10 0.667 0.333 0.783
Se11 0.667 0.333 0.884
Se12 0.667 0.333 0.950
# Energy of formation: -1.023 eV/atom
# Crystal system: trigonal
# Spin magnetization: 0.00 μB/f.u.
# Total DFT energy (no corrections): -23.18 eV per atom



Record 11
# K2Tc3Se6 | the Materials Project | r2SCAN | relaxed
data_K2Tc3Se6
_symmetry_space_group_name_H-M 'P 1'
_symmetry_Int_Tables_number 1
_symmetry_space_group_name_Hall 'P 1'
_cell_length_a 10.010
_cell_length_b 10.010
_cell_length_c 12.407
_cell_angle_alpha 91.37
_cell_angle_beta 91.37
_cell_angle_gamma 60.75
loop_
_atom_site_label
_atom_site_fract_x
_atom_site_fract_y
_atom_site_fract_z
K1 0.102 0.898 0.750
K2 0.147 0.623 0.981
K3 0.283 0.717 0.250
K4 0.377 0.853 0.519
K5 0.623 0.147 0.481
K6 0.717 0.283 0.750
K7 0.853 0.377 0.019
K8 0.898 0.102 0.250
Tc1 0.029 0.389 0.625
Tc2 0.100 0.319 0.420
Tc3 0.184 0.496 0.526
Tc4 0.319 0.100 0.920
Tc5 0.389 0.029 0.125
Tc6 0.496 0.184 0.026
Tc7 0.504 0.816 0.974
Tc8 0.611 0.971 0.875
Tc9 0.681 0.900 0.080
Tc10 0.816 0.504 0.474
Tc11 0.900 0.681 0.580
Tc12 0.971 0.611 0.375
Se1 0.053 0.779 0.481
Se2 0.060 0.237 0.805
Se3 0.109 0.561 0.720
Se4 0.216 0.298 0.070
Se5 0.221 0.947 0.019
Se6 0.237 0.060 0.305
Se7 0.247 0.427 0.333
Se8 0.298 0.216 0.570
Se9 0.427 0.247 0.833
Se10 0.435 0.502 0.581
Se11 0.439 0.891 0.780
Se12 0.498 0.565 0.919
Se13 0.502 0.435 0.081
Se14 0.561 0.109 0.220
Se15 0.565 0.498 0.419
Se16 0.573 0.753 0.167
Se17 0.702 0.784 0.430
Se18 0.753 0.573 0.667
Se19 0.763 0.940 0.695
Se20 0.779 0.053 0.981
Se21 0.784 0.702 0.930
Se22 0.891 0.439 0.280
Se23 0.940 0.763 0.195
Se24 0.947 0.221 0.519
# Energy of formation: -0.889 eV/atom
# Crystal system: monoclinic
# Spin magnetization: 0.00 μB/f.u.
# Total DFT energy (no corrections): -16.87 eV per atom



Record 12
# KTlSe2 | the Materials Project | r2SCAN | relaxed
data_KTlSe2
_symmetry_space_group_name_H-M 'P 1'
_symmetry_Int_Tables_number 1
_symmetry_space_group_name_Hall 'P 1'
_cell_length_a 6.769
_cell_length_b 6.769
_cell_length_c 6.769
_cell_angle_alpha 106.12
_cell_angle_beta 106.12
_cell_angle_gamma 116.41
loop_
_atom_site_label
_atom_site_fract_x
_atom_site_fract_y
_atom_site_fract_z
K1 0.250 0.250 0.000
K2 0.750 0.750 0.000
Tl1 0.250 0.750 0.500
Tl2 0.750 0.250 0.500
Se1 0.176 0.676 0.853
Se2 0.324 0.176 0.500
Se3 0.676 0.824 0.500
Se4 0.824 0.324 0.147
# Energy of formation: -0.801 eV/atom
# Crystal system: tetragonal
# Spin magnetization: 0.00 μB/f.u.
# Total DFT energy (no corrections): -22.76 eV per atom